10
Lattice="-2.730 2.730 5.082 2.730 -2.730 5.082 2.730 2.730 -5.082" Properties=species:S:1:pos:R:3 comment="MnF4 (PBE+U, relaxed)" e_tot_ev_per_atom=-4.72 delta_e_f_ev_per_atom=-2.0638 pbc="T T T"
Mn 2.730 0.000 0.000
Mn 0.000 2.730 0.000
F 3.648 0.918 -1.224
F 0.918 1.812 -1.224
F 3.648 0.918 1.224
F 0.918 1.812 1.224
F 1.812 0.918 3.857
F -0.918 1.812 3.857
F 1.812 0.918 6.306
F -0.918 1.812 6.306

***

10
Lattice="5.555 0.000 0.000 0.000 4.742 0.000 -2.386 0.000 4.775" Properties=species:S:1:pos:R:3 comment="MnF4 (PBE+U, relaxed)" e_tot_ev_per_atom=-5.00 delta_e_f_ev_per_atom=-2.3390 pbc="T T T"
Mn 0.000 0.000 0.000
Mn -1.193 2.371 2.388
F -0.053 1.056 1.593
F -1.246 1.315 3.980
F 0.233 3.194 3.013
F 1.426 3.919 0.625
F 1.742 0.823 4.150
F 2.935 1.548 1.762
F 4.415 3.427 0.795
F 3.221 3.686 3.183

***

16
Lattice="5.586 0.000 0.000 0.000 7.542 0.000 0.000 0.000 5.321" Properties=species:S:1:pos:R:3 comment="MnF3 (PBE+U, relaxed)" e_tot_ev_per_atom=-5.73 delta_e_f_ev_per_atom=-2.7624 pbc="T T T"
Mn 0.000 0.000 0.000
Mn 0.000 3.771 0.000
Mn 2.793 0.000 2.661
Mn 2.793 3.771 2.661
F 0.066 1.885 0.448
F 1.086 0.295 3.849
F 1.086 3.476 3.849
F 1.707 4.066 1.188
F 1.707 7.247 1.188
F 2.727 5.656 3.109
F 2.859 1.885 2.212
F 3.878 0.295 4.133
F 3.878 3.476 4.133
F 4.500 4.066 1.472
F 4.500 7.247 1.472
F 5.520 5.656 4.873

***

8
Lattice="2.690 1.553 4.514 -2.690 1.553 4.514 0.000 -3.106 4.514" Properties=species:S:1:pos:R:3 comment="MnF3 (PBE+U, relaxed)" e_tot_ev_per_atom=-5.70 delta_e_f_ev_per_atom=-2.7387 pbc="T T T"
Mn 0.000 0.000 0.000
Mn 0.000 0.000 6.771
F -1.526 0.463 5.643
F -1.164 -1.090 7.900
F 0.362 -1.553 5.643
F -0.362 1.553 7.900
F 1.164 1.090 5.643
F 1.526 -0.463 7.900

***

16
Lattice="4.810 0.000 0.000 0.000 4.829 0.000 -4.242 0.000 9.173" Properties=species:S:1:pos:R:3 comment="MnF3 (PBE+U, relaxed)" e_tot_ev_per_atom=-5.68 delta_e_f_ev_per_atom=-2.7135 pbc="T T T"
Mn 0.111 0.015 1.582
Mn -2.010 2.400 6.169
Mn 2.578 2.429 3.004
Mn 0.457 4.815 7.591
F -0.874 1.017 2.892
F -2.995 1.398 7.479
F -1.215 3.282 4.727
F 0.906 3.962 0.140
F -0.677 1.085 6.175
F 1.444 1.330 1.588
F -0.876 3.499 7.585
F 1.245 3.744 2.998
F -0.338 0.867 9.034
F 1.783 1.547 4.447
F 3.563 3.431 1.694
F 1.442 3.813 6.281

***

16
Lattice="5.418 0.000 0.000 0.000 7.803 0.000 -0.001 0.000 5.419" Properties=species:S:1:pos:R:3 comment="MnF3 (PBE+U, relaxed)" e_tot_ev_per_atom=-5.70 delta_e_f_ev_per_atom=-2.7420 pbc="T T T"
Mn 0.000 0.000 0.000
Mn 0.000 3.901 0.000
Mn 2.709 0.000 2.709
Mn 2.709 3.901 2.709
F 0.070 1.951 0.004
F 1.117 3.952 1.672
F 1.117 7.752 1.672
F 1.673 3.962 4.299
F 1.673 7.741 4.299
F 2.633 1.951 2.729
F 2.785 5.852 2.690
F 3.744 0.061 1.120
F 3.744 3.840 1.120
F 4.300 0.050 3.747
F 4.300 3.851 3.747
F 5.347 5.852 5.415